Record 1
{"formula": "LiMg6V", "functional": "PBE-GGA", "state": "optimized geometry", "lattice": [[-4.5913, -1.5513, -1.3551], [2.3736, -5.6852, -1.5335], [-1.7892, -3.4463, 10.0071]], "species": ["Li", "Li", "Mg", "Mg", "Mg", "Mg", "Mg", "Mg", "Mg", "Mg", "Mg", "Mg", "Mg", "Mg", "V", "V"], "fractional_positions": [[0.0000, 0.5000, 0.8342], [0.0000, 0.0000, 0.3342], [0.0000, 0.2514, 0.0831], [0.0000, 0.7486, 0.0831], [0.5000, 0.2436, 0.9126], [0.5000, 0.7564, 0.9126], [0.5000, 0.5000, 0.1726], [0.5000, 0.5000, 0.6683], [0.0000, 0.7514, 0.5831], [0.0000, 0.2486, 0.5831], [0.5000, 0.7436, 0.4126], [0.5000, 0.2564, 0.4126], [0.5000, 0.0000, 0.6726], [0.5000, 0.0000, 0.1683], [0.0000, 0.5000, 0.3336], [0.0000, 0.0000, 0.8336]], "delta_e_f_ev_per_atom": 0.16}

=====

Record 2
{"formula": "LiMg6V", "functional": "PBE-GGA", "state": "optimized geometry", "lattice": [[6.2356, -0.0115, 0.0000], [-3.1277, 5.3944, 0.0000], [0.0000, 0.0000, 5.0771]], "species": ["Li", "Mg", "Mg", "Mg", "Mg", "Mg", "Mg", "V"], "fractional_positions": [[0.3294, 0.1706, 0.7500], [0.1704, 0.8392, 0.2500], [0.6608, 0.3296, 0.2500], [0.6653, 0.8347, 0.2500], [0.3281, 0.6517, 0.7500], [0.8483, 0.1719, 0.7500], [0.8328, 0.6672, 0.7500], [0.1648, 0.3352, 0.2500]], "delta_e_f_ev_per_atom": 0.16}

=====

Record 3
{"formula": "LiMg6Zn", "functional": "PBE-GGA", "state": "optimized geometry", "lattice": [[-4.7255, -1.6800, 0.4955], [0.6688, -3.4224, -5.2251], [3.5565, -8.2719, 5.8733]], "species": ["Li", "Li", "Mg", "Mg", "Mg", "Mg", "Mg", "Mg", "Mg", "Mg", "Mg", "Mg", "Mg", "Mg", "Zn", "Zn"], "fractional_positions": [[0.5000, 0.5000, 0.8329], [0.5000, 0.0000, 0.3329], [0.5000, 0.2486, 0.0839], [0.5000, 0.7514, 0.0839], [0.0000, 0.2486, 0.9137], [0.0000, 0.7514, 0.9137], [0.0000, 0.5000, 0.1695], [0.0000, 0.5000, 0.6687], [0.5000, 0.7486, 0.5839], [0.5000, 0.2514, 0.5839], [0.0000, 0.7486, 0.4137], [0.0000, 0.2514, 0.4137], [0.0000, 0.0000, 0.6695], [0.0000, 0.0000, 0.1687], [0.5000, 0.5000, 0.3337], [0.5000, 0.0000, 0.8337]], "delta_e_f_ev_per_atom": -0.02}

=====

Record 4
{"formula": "LiMg14Zn", "functional": "PBE-GGA", "state": "optimized geometry", "lattice": [[-4.8835, 0.1107, 4.0171], [2.7816, -5.5047, -1.4707], [6.4248, 1.1684, 7.7783]], "species": ["Li", "Mg", "Mg", "Mg", "Mg", "Mg", "Mg", "Mg", "Mg", "Mg", "Mg", "Mg", "Mg", "Mg", "Mg", "Zn"], "fractional_positions": [[0.1647, 0.8323, 0.1250], [0.1678, 0.3339, 0.6250], [0.1679, 0.8340, 0.6250], [0.6694, 0.3370, 0.1250], [0.6658, 0.3327, 0.6250], [0.6694, 0.8323, 0.1250], [0.6658, 0.8331, 0.6250], [0.3292, 0.1666, 0.3677], [0.3292, 0.1666, 0.8823], [0.3292, 0.6626, 0.3677], [0.3292, 0.6626, 0.8823], [0.8373, 0.1686, 0.3698], [0.8373, 0.1686, 0.8802], [0.8344, 0.6672, 0.3751], [0.8344, 0.6672, 0.8749], [0.1693, 0.3347, 0.1250]], "delta_e_f_ev_per_atom": -0.01}

=====

Record 5
{"formula": "LiMg14Zn", "functional": "PBE-GGA", "state": "optimized geometry", "lattice": [[-1.9761, 2.0797, 5.6148], [-4.1286, -2.4574, -4.0831], [1.5705, -9.2495, 3.9787]], "species": ["Li", "Mg", "Mg", "Mg", "Mg", "Mg", "Mg", "Mg", "Mg", "Mg", "Mg", "Mg", "Mg", "Mg", "Mg", "Zn"], "fractional_positions": [[0.1667, 0.3333, 0.6250], [0.1652, 0.8326, 0.1250], [0.1671, 0.8335, 0.6250], [0.6674, 0.3348, 0.1250], [0.6665, 0.3329, 0.6250], [0.6674, 0.8326, 0.1250], [0.6665, 0.8335, 0.6250], [0.3312, 0.1688, 0.3728], [0.3312, 0.1688, 0.8772], [0.3312, 0.6624, 0.3728], [0.3312, 0.6624, 0.8772], [0.8376, 0.1688, 0.3728], [0.8376, 0.1688, 0.8772], [0.8333, 0.6667, 0.3760], [0.8333, 0.6667, 0.8740], [0.1667, 0.3333, 0.1250]], "delta_e_f_ev_per_atom": -0.01}

=====

Record 6
{"formula": "LiMg6Zn", "functional": "PBE-GGA", "state": "optimized geometry", "lattice": [[5.0448, 0.0000, 0.0000], [0.0000, 6.2205, 0.0000], [0.0000, 0.0000, 10.7473]], "species": ["Li", "Li", "Mg", "Mg", "Mg", "Mg", "Mg", "Mg", "Mg", "Mg", "Mg", "Mg", "Mg", "Mg", "Zn", "Zn"], "fractional_positions": [[0.5000, 0.5000, 0.1687], [0.5000, 0.0000, 0.6687], [0.0000, 0.2527, 0.0854], [0.0000, 0.7473, 0.0854], [0.0000, 0.5000, 0.8329], [0.5000, 0.2448, 0.9147], [0.5000, 0.7552, 0.9147], [0.5000, 0.5000, 0.6662], [0.0000, 0.7527, 0.5854], [0.0000, 0.2473, 0.5854], [0.0000, 0.0000, 0.3329], [0.5000, 0.7448, 0.4147], [0.5000, 0.2552, 0.4147], [0.5000, 0.0000, 0.1662], [0.0000, 0.5000, 0.3321], [0.0000, 0.0000, 0.8321]], "delta_e_f_ev_per_atom": -0.02}

=====

Record 7
{"formula": "Li2MgZn", "functional": "PBE-GGA", "state": "optimized geometry", "lattice": [[0.0000, 3.2770, 3.2770], [3.2770, 0.0000, 3.2770], [3.2770, 3.2770, 0.0000]], "species": ["Li", "Li", "Mg", "Zn"], "fractional_positions": [[0.2500, 0.2500, 0.2500], [0.0000, 0.0000, 0.0000], [0.7500, 0.7500, 0.7500], [0.5000, 0.5000, 0.5000]], "delta_e_f_ev_per_atom": -0.13}

=====

Record 8
{"formula": "LiMn", "functional": "PBE-GGA", "state": "optimized geometry", "lattice": [[2.5478, 0.0015, 0.0036], [-1.2726, 2.2073, -0.0036], [0.0064, -0.0037, 4.6558]], "species": ["Li", "Mn"], "fractional_positions": [[0.6667, 0.3334, 0.7500], [0.3333, 0.6666, 0.2500]], "delta_e_f_ev_per_atom": 0.38}

=====

Record 9
{"formula": "LiMn2N3", "functional": "PBE-GGA", "state": "optimized geometry", "lattice": [[5.4640, -0.0122, 0.0000], [-2.7430, 4.7505, 0.0000], [0.0000, 0.0000, 4.9519]], "species": ["Li", "Li", "Mn", "Mn", "Mn", "Mn", "N", "N", "N", "N", "N", "N"], "fractional_positions": [[0.0000, 0.6656, 0.4611], [0.0000, 0.3344, 0.9611], [0.3381, 0.3307, 0.4896], [0.6619, 0.9926, 0.4896], [0.6619, 0.6693, 0.9896], [0.3381, 0.0074, 0.9896], [0.3806, 0.3374, 0.8560], [0.6194, 0.9568, 0.8560], [0.6194, 0.6626, 0.3560], [0.3806, 0.0432, 0.3560], [0.0000, 0.7193, 0.9197], [0.0000, 0.2807, 0.4197]], "delta_e_f_ev_per_atom": -0.49}

=====

Record 10
{"formula": "LiMn6N7", "functional": "PBE-GGA", "state": "optimized geometry", "lattice": [[-6.2607, 4.4921, -10.4731], [1.8574, -4.4159, -3.0044], [-6.9319, -3.7178, 1.1790]], "species": ["Li", "Li", "Li", "Li", "Mn", "Mn", "Mn", "Mn", "Mn", "Mn", "Mn", "Mn", "Mn", "Mn", "Mn", "Mn", "Mn", "Mn", "Mn", "Mn", "Mn", "Mn", "Mn", "Mn", "Mn", "Mn", "Mn", "Mn", "N", "N", "N", "N", "N", "N", "N", "N", "N", "N", "N", "N", "N", "N", "N", "N", "N", "N", "N", "N", "N", "N", "N", "N", "N", "N", "N", "N"], "fractional_positions": [[0.2508, 0.4346, 0.5883], [0.7492, 0.5654, 0.4117], [0.2492, 0.4346, 0.9117], [0.7508, 0.5654, 0.0883], [0.4653, 0.2741, 0.5659], [0.5347, 0.7259, 0.4341], [0.0347, 0.2741, 0.9341], [0.9653, 0.7259, 0.0659], [0.5616, 0.7925, 0.7498], [0.4384, 0.2075, 0.2502], [0.9384, 0.7925, 0.7502], [0.0616, 0.2075, 0.2498], [0.6726, 0.0942, 0.9641], [0.3274, 0.9058, 0.0359], [0.8274, 0.0942, 0.5359], [0.1726, 0.9058, 0.4641], [0.2500, 0.4228, 0.2500], [0.7500, 0.5772, 0.7500], [0.2500, 0.0278, 0.7500], [0.7500, 0.9722, 0.2500], [0.4500, 0.2380, 0.9377], [0.5500, 0.7620, 0.0623], [0.0500, 0.2380, 0.5623], [0.9500, 0.7620, 0.4377], [0.6448, 0.2528, 0.6178], [0.3552, 0.7472, 0.3822], [0.8552, 0.2528, 0.8822], [0.1448, 0.7472, 0.1178], [0.5571, 0.0080, 0.5907], [0.4429, 0.9920, 0.4093], [0.9429, 0.0080, 0.9093], [0.0571, 0.9920, 0.0907], [0.0482, 0.8780, 0.5930], [0.9518, 0.1220, 0.4070], [0.4518, 0.8780, 0.9070], [0.5482, 0.1220, 0.0930], [0.7500, 0.2361, 0.7500], [0.2500, 0.7639, 0.2500], [0.0741, 0.4741, 0.1101], [0.9259, 0.5259, 0.8899], [0.4259, 0.4741, 0.3899], [0.5741, 0.5259, 0.6101], [0.3611, 0.2386, 0.7398], [0.6389, 0.7614, 0.2602], [0.1389, 0.2386, 0.7602], [0.8611, 0.7614, 0.2398], [0.2217, 0.8277, 0.9213], [0.7783, 0.1723, 0.0787], [0.2783, 0.8277, 0.5787], [0.7217, 0.1723, 0.4213], [0.0000, 0.5000, 0.5000], [0.5000, 0.5000, 0.0000], [0.1701, 0.2218, 0.3953], [0.8299, 0.7782, 0.6047], [0.3299, 0.2218, 0.1047], [0.6701, 0.7782, 0.8953]], "delta_e_f_ev_per_atom": -0.29}

=====

Record 11
{"formula": "Li2MnN", "functional": "PBE-GGA", "state": "optimized geometry", "lattice": [[-1.8786, -3.2539, 0.0000], [-1.8786, 3.2539, 0.0000], [0.0000, 0.0000, -3.8088]], "species": ["Li", "Li", "Mn", "N"], "fractional_positions": [[0.6667, 0.3333, 0.0000], [0.3333, 0.6667, 0.0000], [0.0000, 0.0000, 0.5000], [0.0000, 0.0000, 0.0000]], "delta_e_f_ev_per_atom": -0.37}

=====

Record 12
{"formula": "Li9Mn3N4", "functional": "PBE-GGA", "state": "optimized geometry", "lattice": [[1.8661, 5.0204, 0.0000], [-1.8661, 5.0204, 0.0000], [0.0000, 1.7411, 9.8878]], "species": ["Li", "Li", "Li", "Li", "Li", "Li", "Li", "Li", "Li", "Mn", "Mn", "Mn", "N", "N", "N", "N"], "fractional_positions": [[0.4529, 0.4529, 0.2900], [0.2072, 0.2072, 0.0422], [0.9611, 0.9611, 0.7913], [0.7119, 0.7119, 0.5435], [0.7928, 0.7928, 0.9578], [0.5471, 0.5471, 0.7100], [0.2881, 0.2881, 0.4565], [0.0389, 0.0389, 0.2087], [0.0000, 0.0000, 0.5000], [0.7549, 0.7549, 0.2468], [0.5000, 0.5000, 0.0000], [0.2451, 0.2451, 0.7532], [0.6242, 0.6242, 0.1261], [0.3758, 0.3758, 0.8739], [0.1274, 0.1274, 0.6255], [0.8726, 0.8726, 0.3745]], "delta_e_f_ev_per_atom": -0.40}